1.
Computed, not measured: an optimized crystal structure of Nd3Al at the meta-GGA r2SCAN level of DFT.

Computed properties:
**Electronic total energy**: -95.90 eV/f.u.
**Crystal system**: hexagonal
**Calculated volume**: 29.42 Å³/atom

```
data_Nd3Al
_chemical_formula_sum 'Nd6 Al2'
_space_group_name_H-M_alt 'P 63/m m c'
_space_group_IT_number 194
_space_group_name_Hall '-P 6c 2c'
_cell_length_a 7.1298
_cell_length_b 7.1298
_cell_length_c 5.3463
_cell_angle_alpha 90.00
_cell_angle_beta 90.00
_cell_angle_gamma 120.00
loop_
_atom_site_label
_atom_site_type_symbol
_atom_site_fract_x
_atom_site_fract_y
_atom_site_fract_z
Nd1 Nd 0.1790 0.3580 0.2500
Al1 Al 0.3333 0.6667 0.7500
```

=====

2.
Computed, not measured: an optimized crystal structure of NdAlNi at the meta-GGA r2SCAN level of DFT.

Computed properties:
**Electronic total energy**: -49.66 eV/f.u.
**Crystal system**: hexagonal
**Calculated volume**: 19.19 Å³/atom

```
data_NdAlNi
_chemical_formula_sum 'Nd3 Al3 Ni3'
_space_group_name_H-M_alt 'P -6 2 m'
_space_group_IT_number 189
_space_group_name_Hall 'P -6 -2'
_cell_length_a 7.0067
_cell_length_b 7.0067
_cell_length_c 4.0626
_cell_angle_alpha 90.00
_cell_angle_beta 90.00
_cell_angle_gamma 120.00
loop_
_atom_site_label
_atom_site_type_symbol
_atom_site_fract_x
_atom_site_fract_y
_atom_site_fract_z
Nd1 Nd 0.0000 0.4199 0.0000
Al1 Al 0.0000 0.7743 0.5000
Ni1 Ni 0.0000 0.0000 0.0000
Ni2 Ni 0.3333 0.6667 0.5000
```

=====

3.
Computed, not measured: an optimized crystal structure of NdAlO3 at the meta-GGA r2SCAN level of DFT.

Computed properties:
**Electronic total energy**: -72.19 eV/f.u.
**Crystal system**: trigonal
**Calculated volume**: 10.57 Å³/atom

```
data_NdAlO3
_chemical_formula_sum 'Nd6 Al6 O18'
_space_group_name_H-M_alt 'R -3 c'
_space_group_IT_number 167
_space_group_name_Hall '-R 3 2"c'
_cell_length_a 5.3310
_cell_length_b 5.3310
_cell_length_c 12.8897
_cell_angle_alpha 90.00
_cell_angle_beta 90.00
_cell_angle_gamma 120.00
loop_
_atom_site_label
_atom_site_type_symbol
_atom_site_fract_x
_atom_site_fract_y
_atom_site_fract_z
Nd1 Nd 0.0000 0.0000 0.2500
Al1 Al 0.0000 0.0000 0.0000
O1 O 0.0000 0.4509 0.2500
```

=====

4.
Computed, not measured: an optimized crystal structure of Nd4Al2O9 at the meta-GGA r2SCAN level of DFT.

Computed properties:
**Electronic total energy**: -239.08 eV/f.u.
**Crystal system**: monoclinic
**Calculated volume**: 15.05 Å³/atom

```
data_Nd4Al2O9
_chemical_formula_sum 'Nd16 Al8 O36'
_space_group_name_H-M_alt 'P 1 21/c 1'
_space_group_IT_number 14
_space_group_name_Hall '-P 2ybc'
_cell_length_a 7.753
_cell_length_b 10.887
_cell_length_c 11.348
_cell_angle_alpha 90.00
_cell_angle_beta 109.45
_cell_angle_gamma 90.00
loop_
_atom_site_label
_atom_site_type_symbol
_atom_site_fract_x
_atom_site_fract_y
_atom_site_fract_z
Nd1 Nd 0.024 0.101 0.289
Nd2 Nd 0.166 0.625 0.571
Nd3 Nd 0.335 0.123 0.913
Nd4 Nd 0.473 0.585 0.188
Al1 Al 0.152 0.190 0.620
Al2 Al 0.276 0.692 0.871
O1 O 0.065 0.741 0.882
O2 O 0.068 0.009 0.897
O3 O 0.140 0.229 0.468
O4 O 0.202 0.039 0.674
O5 O 0.268 0.723 0.237
O6 O 0.282 0.220 0.247
O7 O 0.282 0.537 0.834
O8 O 0.419 0.735 0.019
O9 O 0.424 0.003 0.107
```

=====

5.
Computed, not measured: an optimized crystal structure of NdAlPd2 at the meta-GGA r2SCAN level of DFT.

Computed properties:
**Electronic total energy**: -85.70 eV/f.u.
**Crystal system**: orthorhombic
**Calculated volume**: 19.34 Å³/atom

```
data_NdAlPd2
_chemical_formula_sum 'Nd4 Al4 Pd8'
_space_group_name_H-M_alt 'P n m a'
_space_group_IT_number 62
_space_group_name_Hall '-P 2ac 2n'
_cell_length_a 7.539
_cell_length_b 7.021
_cell_length_c 5.847
_cell_angle_alpha 90.00
_cell_angle_beta 90.00
_cell_angle_gamma 90.00
loop_
_atom_site_label
_atom_site_type_symbol
_atom_site_fract_x
_atom_site_fract_y
_atom_site_fract_z
Nd1 Nd 0.033 0.250 0.154
Al1 Al 0.119 0.750 0.346
Pd1 Pd 0.176 0.053 0.587
```

=====

6.
Computed, not measured: an optimized crystal structure of NdAlPd at the meta-GGA r2SCAN level of DFT.

Computed properties:
**Electronic total energy**: -61.63 eV/f.u.
**Crystal system**: hexagonal
**Calculated volume**: 21.13 Å³/atom

```
data_NdAlPd
_chemical_formula_sum 'Nd3 Al3 Pd3'
_space_group_name_H-M_alt 'P -6 2 m'
_space_group_IT_number 189
_space_group_name_Hall 'P -6 -2'
_cell_length_a 7.2309
_cell_length_b 7.2309
_cell_length_c 4.2003
_cell_angle_alpha 90.00
_cell_angle_beta 90.00
_cell_angle_gamma 120.00
loop_
_atom_site_label
_atom_site_type_symbol
_atom_site_fract_x
_atom_site_fract_y
_atom_site_fract_z
Nd1 Nd 0.0000 0.5809 0.0000
Al1 Al 0.0000 0.2271 0.5000
Pd1 Pd 0.0000 0.0000 0.0000
Pd2 Pd 0.3333 0.6667 0.5000
```